First-principles (PBE+U) data for a relaxed structure of Li9Mn2Co5O16, as listed in Materials Project.

Lattice parameters (Å, degrees): 5.035 5.890 9.697 83.32 85.73 87.05
Element x y z (fractional)
Li 0.622 0.935 0.252
Li 0.389 0.568 0.741
Li 0.125 0.182 0.254
Li 0.105 0.682 0.260
Li 0.873 0.319 0.748
Li 0.630 0.438 0.254
Li 0.381 0.070 0.744
Li 0.875 0.807 0.746
Li 0.749 0.625 0.500
Mn 0.999 0.003 0.000
Mn 0.500 0.746 0.000
Co 0.500 0.251 0.999
Co 0.256 0.871 0.501
Co 0.000 0.498 0.001
Co 0.750 0.125 0.501
Co 0.244 0.380 0.499
O 0.796 0.210 0.117
O 0.543 0.852 0.611
O 0.300 0.449 0.115
O 0.305 0.956 0.117
O 0.098 0.603 0.607
O 0.801 0.700 0.120
O 0.554 0.337 0.609
O 0.085 0.109 0.608
O 0.402 0.647 0.392
O 0.201 0.300 0.885
O 0.946 0.915 0.391
O 0.958 0.397 0.389
O 0.698 0.049 0.880
O 0.416 0.141 0.393
O 0.194 0.792 0.883
O 0.704 0.541 0.882

## Properties
For the total moment, the calculation gives 14.00 μB/cell. The energy above the most stable polymorph in this dataset is 69.9 meV/atom. The crystal system is triclinic. The calculation puts the formation energy at -1.79 eV per atom. For the calculated total energy, the calculation gives -185.1 eV/f.u.